# 1
VASP calculation (meta-GGA r2SCAN) on crystalline Ga at its relaxed geometry.

For the total magnetization, the calculation gives 0.000 μB/atom. For the formation energy, the calculation gives 0.01 eV per atom.

It has space group Cmcm (No. 63), with a = 7.634 Å, b = 4.653 Å, c = 4.488 Å, α = 90.00°, β = 90.00° and γ = 90.00°. Symmetry generates all atoms from Ga at (0.162, 0.172, 0.250).


# 2
VASP calculation (meta-GGA r2SCAN) on crystalline SrF3 at its relaxed geometry.

For the total magnetization, the calculation gives 0.250 μB/atom. For the formation energy, the calculation gives -3.11 eV per atom.

It has space group P2_1/m (No. 11), with a = 4.429 Å, b = 4.117 Å, c = 6.210 Å, α = 90.00°, β = 95.45° and γ = 90.00°. Symmetry generates all atoms from Sr at (0.226, 0.250, 0.287), F at (0.088, 0.250, 0.875), F at (0.251, 0.750, 0.534) and F at (0.479, 0.750, 0.138).